PPb | PBE | optimized geometry

a = 5.800 Å, b = 6.061 Å, c = 12.752 Å
α = 90.00°, β = 113.08°, γ = 90.00°
Atoms (fractional coordinates):
P1 0.176 0.152 0.421
P2 0.176 0.348 0.921
P3 0.316 0.157 0.079
P4 0.316 0.343 0.579
P5 0.684 0.657 0.421
P6 0.684 0.843 0.921
P7 0.824 0.652 0.079
P8 0.824 0.848 0.579
Pb1 0.140 0.631 0.365
Pb2 0.140 0.869 0.865
Pb3 0.371 0.638 0.135
Pb4 0.371 0.862 0.635
Pb5 0.629 0.138 0.365
Pb6 0.629 0.362 0.865
Pb7 0.860 0.131 0.135
Pb8 0.860 0.369 0.635

Calculated total energy = -4.422 eV/atom